(1)
La2MgNbO6 (PBE, relaxed); size of the total moment = 1.0 μB/f.u.; ΔH_f (0 K) = -3.312 eV/atom; total energy = -8.026 eV per atom; crystal system = cubic
1.0
0.0000 4.0195 4.0195
4.0195 0.0000 4.0195
4.0195 4.0195 0.0000
La Mg Nb O
2 1 1 6
Direct
0.2500 0.2500 0.2500 La
0.7500 0.7500 0.7500 La
0.0000 0.0000 0.0000 Mg
0.5000 0.5000 0.5000 Nb
0.7507 0.2493 0.2493 O
0.2493 0.7507 0.7507 O
0.2493 0.7507 0.2493 O
0.7507 0.2493 0.7507 O
0.2493 0.2493 0.7507 O
0.7507 0.7507 0.2493 O



(2)
LaMg2Ni9 (PBE, relaxed); ΔH_f (0 K) = -0.246 eV/atom; total energy = -5.260 eV per atom; crystal system = trigonal
1.0
-2.8957 7.3112 2.9350
-5.5243 6.2310 -1.0530
-6.5778 4.0959 3.2262
La Mg Ni
1 2 9
Direct
0.0000 0.0000 0.0000 La
0.8551 0.8551 0.8551 Mg
0.1449 0.1449 0.1449 Mg
0.5870 0.0828 0.5870 Ni
0.0828 0.5870 0.5870 Ni
0.5870 0.5870 0.0828 Ni
0.4130 0.9172 0.4130 Ni
0.9172 0.4130 0.4130 Ni
0.3335 0.3335 0.3335 Ni
0.4130 0.4130 0.9172 Ni
0.5000 0.5000 0.5000 Ni
0.6665 0.6665 0.6665 Ni



(3)
LaMgNi2 (PBE, relaxed); size of the total moment = 0.0 μB/f.u.; ΔH_f (0 K) = -0.210 eV/atom; total energy = -4.735 eV per atom; crystal system = orthorhombic
1.0
4.1958 0.0000 0.0000
-2.0979 6.4085 0.0000
0.0000 0.0000 5.6838
La Mg Ni
2 2 4
Direct
0.7203 0.4405 0.2500 La
0.2797 0.5595 0.7500 La
0.4564 0.9129 0.2500 Mg
0.5436 0.0871 0.7500 Mg
0.0902 0.1803 0.0394 Ni
0.9098 0.8197 0.9606 Ni
0.9098 0.8197 0.5394 Ni
0.0902 0.1803 0.4606 Ni